Record 1
Material: Cr5S6
Method: DFT, PBE-GGA
State: optimized geometry

Lattice parameters (Å, degrees): 5.945 5.945 11.461 90.00 90.00 120.00
Element x y z (fractional)
Cr  0.000  0.000  0.000
Cr  0.000  0.000  0.250
Cr  0.000  0.000  0.500
Cr  0.000  0.000  0.750
Cr  0.333  0.667  0.004
Cr  0.333  0.667  0.496
Cr  0.333  0.667  0.750
Cr  0.667  0.333  0.250
Cr  0.667  0.333  0.504
Cr  0.667  0.333  0.996
S  0.007  0.339  0.876
S  0.007  0.668  0.624
S  0.332  0.339  0.624
S  0.332  0.993  0.876
S  0.339  0.007  0.376
S  0.339  0.332  0.124
S  0.661  0.668  0.876
S  0.661  0.993  0.624
S  0.668  0.007  0.124
S  0.668  0.661  0.376
S  0.993  0.332  0.376
S  0.993  0.661  0.124

Values from the calculation:
calculated density: 4.28 g/cm3
energy: -159.25 eV/cell
ΔH_f (0 K): -869 meV per atom
total magnetization: 30.532 Bohr magnetons per cell



Record 2
Material: CrS2
Method: DFT, PBE-GGA
State: optimized geometry

Lattice parameters (Å, degrees): 6.760 6.760 6.760 60.00 60.00 60.00
Element x y z (fractional)
Cr  0.000  0.000  0.000
Cr  0.000  0.000  0.500
Cr  0.000  0.500  0.000
Cr  0.500  0.000  0.000
S  0.239  0.754  0.754
S  0.246  0.246  0.246
S  0.246  0.246  0.761
S  0.246  0.761  0.246
S  0.754  0.239  0.754
S  0.754  0.754  0.239
S  0.754  0.754  0.754
S  0.761  0.246  0.246

Values from the calculation:
calculated density: 3.53 g/cm3
energy: -75.70 eV/cell
ΔH_f (0 K): -669 meV per atom
total magnetization: 0.196 Bohr magnetons per cell